# BaAl2Si3W4O10 (PBE+U, relaxed)
data_BaAl2Si3W4O10
_cell_length_a 6.717
_cell_length_b 10.052
_cell_length_c 10.181
_cell_angle_alpha 90.00
_cell_angle_beta 90.00
_cell_angle_gamma 90.00
_space_group_name_H-M_alt 'P 1'
_space_group_IT_number 1
loop_
_space_group_symop_operation_xyz
'x,y,z'
loop_
_atom_site_label
_atom_site_type_symbol
_atom_site_fract_x
_atom_site_fract_y
_atom_site_fract_z
O1 O 0.004 0.700 0.960
O2 O 0.123 0.802 0.204
O3 O 0.616 0.886 0.568
O4 O 0.671 0.429 0.110
O5 O 0.329 0.929 0.390
O6 O 0.020 0.478 0.807
O7 O 0.671 0.571 0.890
O8 O 0.616 0.114 0.432
O9 O 0.004 0.300 0.040
O10 O 0.877 0.302 0.296
O11 O 0.877 0.698 0.704
O12 O 0.980 0.978 0.693
O13 O 0.384 0.614 0.068
O14 O 0.980 0.022 0.307
O15 O 0.123 0.198 0.796
O16 O 0.996 0.200 0.540
O17 O 0.020 0.522 0.193
O18 O 0.384 0.386 0.932
O19 O 0.996 0.800 0.460
O20 O 0.329 0.071 0.610
W1 W 0.516 0.595 0.372
W2 W 0.484 0.095 0.128
W3 W 0.450 0.298 0.348
W4 W 0.550 0.202 0.848
W5 W 0.484 0.905 0.872
W6 W 0.516 0.405 0.628
W7 W 0.550 0.798 0.152
W8 W 0.450 0.702 0.652
Ba1 Ba 0.028 0.500 0.500
Ba2 Ba 0.972 0.000 0.000
Al1 Al 0.127 0.656 0.108
Al2 Al 0.873 0.844 0.608
Al3 Al 0.873 0.156 0.392
Al4 Al 0.127 0.344 0.892
Si1 Si 0.102 0.886 0.342
Si2 Si 0.898 0.614 0.842
Si3 Si 0.102 0.114 0.658
Si4 Si 0.898 0.386 0.158
Si5 Si 0.527 0.500 0.000
Si6 Si 0.473 0.000 0.500
# E_tot	-6.538	eV per atom
# magnetization	0.0156	μB per atom
# formation enthalpy at 0 K	-1.42	eV/atom
# volume	17.19	A^3/atom